# 1
TlAgPSe3: optimized geometry, PBE.

Output
Total energy = -3.75 eV per atom
Calculated formation energy = -0.466 eV/atom

a = 10.4815 Å, b = 12.8221 Å, c = 9.8426 Å
α = 90.00°, β = 97.11°, γ = 90.00°
Closest atoms and distances in Å follow each position.
Atoms (fractional coordinates):
Tl 0.0805 0.1157 0.1186  4 Se 3.15-3.50, 1 Ag 3.43
Tl 0.0805 0.3843 0.6186  4 Se 3.15-3.50, 1 Ag 3.43
Tl 0.3242 0.6731 0.8944  6 Se 3.31-3.57
Tl 0.3242 0.8269 0.3944  6 Se 3.31-3.57
Tl 0.6758 0.1731 0.6056  6 Se 3.31-3.57
Tl 0.6758 0.3269 0.1056  6 Se 3.31-3.57
Tl 0.9195 0.6157 0.3814  4 Se 3.15-3.50, 1 Ag 3.43
Tl 0.9195 0.8843 0.8814  4 Se 3.15-3.50, 1 Ag 3.43
Ag 0.2149 0.5524 0.2882  4 Se 2.64-2.78
Ag 0.2149 0.9476 0.7882  4 Se 2.64-2.78
Ag 0.3255 0.1847 0.7633  4 Se 2.74-2.79
Ag 0.3255 0.3153 0.2633  4 Se 2.74-2.79
Ag 0.6745 0.6847 0.7367  4 Se 2.74-2.79
Ag 0.6745 0.8153 0.2367  4 Se 2.74-2.79
Ag 0.7851 0.0524 0.2118  4 Se 2.64-2.78
Ag 0.7851 0.4476 0.7118  4 Se 2.64-2.78
P 0.0467 0.0817 0.5045  3 Se 2.21-2.23, 1 P 2.31
P 0.0467 0.4183 0.0045  3 Se 2.21-2.23, 1 P 2.31
P 0.4349 0.0231 0.0844  3 Se 2.22-2.27, 1 P 2.35
P 0.4349 0.4769 0.5844  3 Se 2.22-2.27, 1 P 2.35
P 0.5651 0.5231 0.4156  3 Se 2.22-2.27, 1 P 2.35
P 0.5651 0.9769 0.9156  3 Se 2.22-2.27, 1 P 2.35
P 0.9533 0.5817 0.9955  3 Se 2.21-2.23, 1 P 2.31
P 0.9533 0.9183 0.4955  3 Se 2.21-2.23, 1 P 2.31
Se 0.0717 0.1245 0.7253  1 P 2.23
Se 0.0717 0.3755 0.2253  1 P 2.23
Se 0.1014 0.6861 0.1039  1 P 2.22
Se 0.1014 0.8139 0.6039  1 P 2.22
Se 0.2281 0.0728 0.4124  1 P 2.21
Se 0.2281 0.4272 0.9124  1 P 2.21
Se 0.2707 0.5887 0.5533  1 P 2.23
Se 0.2707 0.9113 0.0533  1 P 2.23
Se 0.3763 0.1918 0.0430  1 P 2.27
Se 0.3763 0.3082 0.5430  1 P 2.27
Se 0.4525 0.0009 0.7114  1 P 2.22
Se 0.4525 0.4991 0.2114  1 P 2.22
Se 0.5475 0.5009 0.7886  1 P 2.22
Se 0.5475 0.9991 0.2886  1 P 2.22
Se 0.6237 0.6918 0.4570  1 P 2.27
Se 0.6237 0.8082 0.9570  1 P 2.27
Se 0.7293 0.0887 0.9467  1 P 2.23
Se 0.7293 0.4113 0.4467  1 P 2.23
Se 0.7719 0.5728 0.0876  1 P 2.21
Se 0.7719 0.9272 0.5876  1 P 2.21
Se 0.8986 0.1861 0.3961  1 P 2.22
Se 0.8986 0.3139 0.8961  1 P 2.22
Se 0.9283 0.6245 0.7747  1 P 2.23
Se 0.9283 0.8755 0.2747  1 P 2.23

---

# 2
TmAgP2Se6: optimized geometry, PBE.

Output
Total energy = -4.46 eV per atom
Calculated formation energy = -0.834 eV/atom

a = 6.6400 Å, b = 6.6400 Å, c = 15.0967 Å
α = 90.00°, β = 90.00°, γ = 120.00°
Closest atoms and distances in Å follow each position.
Atoms (fractional coordinates):
Tm 0.0000 0.0000 0.2500  6 Se 2.85
Tm 0.0000 0.0000 0.7500  6 Se 2.85
Ag 0.3333 0.6667 0.2500  6 Se 2.95
Ag 0.6667 0.3333 0.7500  6 Se 2.95
P 0.3333 0.6667 0.6747  3 Se 2.21, 1 P 2.27
P 0.3333 0.6667 0.8253  3 Se 2.21, 1 P 2.27
P 0.6667 0.3333 0.1747  3 Se 2.21, 1 P 2.27
P 0.6667 0.3333 0.3253  3 Se 2.21, 1 P 2.27
Se 0.0222 0.3422 0.6307  1 P 2.21
Se 0.0222 0.6799 0.8693  1 P 2.21
Se 0.3201 0.3422 0.8693  1 P 2.21
Se 0.3201 0.9778 0.6307  1 P 2.21
Se 0.3422 0.0222 0.1307  1 P 2.21
Se 0.3422 0.3201 0.3693  1 P 2.21
Se 0.6578 0.6799 0.6307  1 P 2.21
Se 0.6578 0.9778 0.8693  1 P 2.21
Se 0.6799 0.0222 0.3693  1 P 2.21
Se 0.6799 0.6578 0.1307  1 P 2.21
Se 0.9778 0.3201 0.1307  1 P 2.21
Se 0.9778 0.6578 0.3693  1 P 2.21

---

# 3
VAgP2Se6: optimized geometry, PBE.

Output
Total energy = -4.63 eV per atom
Calculated formation energy = -0.543 eV/atom
Total magnetic moment = 2.0 μB/f.u.

a = 6.4399 Å, b = 6.4399 Å, c = 7.6749 Å
α = 97.53°, β = 97.53°, γ = 120.58°
Closest atoms and distances in Å follow each position.
Atoms (fractional coordinates):
V 0.0000 0.0000 0.0000  6 Se 2.55-2.62
Ag 0.3501 0.6499 0.0000  6 Se 2.87-2.95
P 0.6311 0.2809 0.8503  1 P 2.22, 3 Se 2.22-2.24
P 0.7191 0.3689 0.1497  1 P 2.22, 3 Se 2.22-2.24
Se 0.0562 0.3533 0.2359  1 P 2.24
Se 0.2470 0.2045 0.7677  1 P 2.24
Se 0.3881 0.0802 0.2270  1 P 2.22
Se 0.6467 0.9438 0.7641  1 P 2.24
Se 0.7955 0.7530 0.2323  1 P 2.24
Se 0.9198 0.6119 0.7730  1 P 2.22

---

# 4
SrAgP: optimized geometry, PBE.

Output
Total energy = -4.06 eV per atom
Calculated formation energy = -0.752 eV/atom

a = 4.4344 Å, b = 4.4344 Å, c = 8.3950 Å
α = 90.00°, β = 90.00°, γ = 120.00°
Closest atoms and distances in Å follow each position.
Atoms (fractional coordinates):
Sr 0.0000 0.0000 0.0000  6 Ag 3.31, 6 P 3.31
Sr 0.0000 0.0000 0.5000  6 P 3.31, 6 Ag 3.31
Ag 0.3333 0.6667 0.2500  3 P 2.56
Ag 0.6667 0.3333 0.7500  3 P 2.56
P 0.3333 0.6667 0.7500  3 Ag 2.56
P 0.6667 0.3333 0.2500  3 Ag 2.56

---

# 5
Ag3Pb: optimized geometry, PBE.

Output
Total energy = -2.91 eV per atom
Calculated formation energy = 0.142 eV/atom
Total magnetic moment = 0.0 μB/f.u.

a = 3.2467 Å, b = 3.2467 Å, c = 9.4898 Å
α = 90.00°, β = 90.00°, γ = 120.00°
Closest atoms and distances in Å follow each position.
Atoms (fractional coordinates):
Ag 0.0000 0.0000 0.0000  6 Ag 2.89
Ag 0.6667 0.3333 0.2322  3 Ag 2.89, 3 Pb 3.16
Ag 0.6667 0.3333 0.7678  3 Ag 2.89, 3 Pb 3.16
Pb 0.0000 0.0000 0.5000  6 Ag 3.16, 6 Pb 3.25

---

# 6
PmAg2Pb: optimized geometry, PBE.

Output
Total energy = -3.83 eV per atom
Calculated formation energy = -0.294 eV/atom

a = 5.1384 Å, b = 5.1384 Å, c = 5.1384 Å
α = 60.00°, β = 60.00°, γ = 60.00°
Closest atoms and distances in Å follow each position.
Atoms (fractional coordinates):
Pm 0.0000 0.0000 0.0000  8 Ag 3.15
Ag 0.2500 0.2500 0.2500  4 Pb 3.15, 4 Pm 3.15
Ag 0.7500 0.7500 0.7500  4 Pb 3.15, 4 Pm 3.15
Pb 0.5000 0.5000 0.5000  8 Ag 3.15